A plane-wave DFT calculation with PBE-GGA was carried out for a geometry-optimized Rb3HoO3 structure.

Summary:
ΔE_f = -2207 meV/atom
Crystal system = monoclinic

a = 10.2361 Å, b = 6.6945 Å, c = 11.3719 Å
α = 90.00°, β = 106.43°, γ = 90.00°
Space group P2_1/c (No. 14)
One atom of each set of equivalent atoms:
Rb1 0.0259 0.0443 0.1621 x4
Rb2 0.2402 0.0285 0.5742 x4
Rb3 0.3915 0.0200 0.2779 x4
Ho1 0.3373 0.0004 0.9487 x4
O1 0.2095 0.6275 0.5448 x4
O2 0.2151 0.1612 0.7972 x4
O3 0.4916 0.1825 0.0748 x4